(1)
First-principles (PBE-GGA) data for a relaxed structure of YNi2B2C, as listed in Materials Project.

Crystal system: tetragonal
Volume in Å³/f.u.: 65.3
ρ in g/cm3: 6.1
Total magnetization in μB/f.u.: 0.001
Formation enthalpy at 0 K in eV/atom: -0.511

CIF file:
```
data_YNi2B2C
_chemical_formula_sum 'Y2 Ni4 B4 C2'
_cell_length_a 3.549
_cell_length_b 3.549
_cell_length_c 10.373
_cell_angle_alpha 90.00
_cell_angle_beta 90.00
_cell_angle_gamma 90.00
_symmetry_space_group_name_H-M 'I 4/m m m'
_symmetry_Int_Tables_number 139
_symmetry_space_group_name_Hall '-I 4 2'
loop_
_atom_site_label
_atom_site_type_symbol
_atom_site_fract_x
_atom_site_fract_y
_atom_site_fract_z
_atom_site_occupancy
Y1 Y 0.000 0.000 0.000 1
Ni1 Ni 0.000 0.500 0.250 1
B1 B 0.000 0.000 0.356 1
C1 C 0.000 0.000 0.500 1
```

(2)
First-principles (PBE-GGA) data for a relaxed structure of Ho2CdCu2, as listed in Materials Project.

Crystal system: tetragonal
Volume in Å³/f.u.: 104.3
ρ in g/cm3: 9.1
Formation enthalpy at 0 K in eV/atom: -0.299

CIF file:
```
data_Ho2CdCu2
_chemical_formula_sum 'Ho4 Cd2 Cu4'
_cell_length_a 7.586
_cell_length_b 7.586
_cell_length_c 3.626
_cell_angle_alpha 90.00
_cell_angle_beta 90.00
_cell_angle_gamma 90.00
_symmetry_space_group_name_H-M 'P 4/m b m'
_symmetry_Int_Tables_number 127
_symmetry_space_group_name_Hall '-P 4 2ab'
loop_
_atom_site_label
_atom_site_type_symbol
_atom_site_fract_x
_atom_site_fract_y
_atom_site_fract_z
_atom_site_occupancy
Ho1 Ho 0.176 0.324 0.000 1
Cd1 Cd 0.000 0.000 0.500 1
Cu1 Cu 0.117 0.617 0.500 1
```

(3)
First-principles (PBE-GGA) data for a relaxed structure of TbEr4Ni10B10C5, as listed in Materials Project.

Crystal system: monoclinic
Volume in Å³/f.u.: 327.2
ρ in g/cm3: 8.0
Total magnetization in μB/f.u.: 0.001
Formation enthalpy at 0 K in eV/atom: -0.522

CIF file:
```
data_TbEr4Ni10B10C5
_chemical_formula_sum 'Tb2 Er8 Ni20 B20 C10'
_cell_length_a 11.055
_cell_length_b 3.530
_cell_length_c 17.634
_cell_angle_alpha 90.00
_cell_angle_beta 108.04
_cell_angle_gamma 90.00
_symmetry_space_group_name_H-M 'C 1 2/m 1'
_symmetry_Int_Tables_number 12
_symmetry_space_group_name_Hall '-C 2y'
loop_
_atom_site_label
_atom_site_type_symbol
_atom_site_fract_x
_atom_site_fract_y
_atom_site_fract_z
_atom_site_occupancy
Tb1 Tb 0.000 0.000 0.000 1
Er1 Er 0.100 0.500 0.600 1
Er2 Er 0.200 0.000 0.200 1
Ni1 Ni 0.000 0.500 0.250 1
Ni2 Ni 0.100 0.000 0.350 1
Ni3 Ni 0.100 0.000 0.849 1
Ni4 Ni 0.199 0.500 0.950 1
Ni5 Ni 0.200 0.500 0.450 1
B1 B 0.014 0.500 0.871 1
B2 B 0.086 0.000 0.729 1
B3 B 0.114 0.000 0.471 1
B4 B 0.186 0.500 0.329 1
B5 B 0.215 0.500 0.072 1
C1 C 0.000 0.000 0.500 1
C2 C 0.102 0.500 0.102 1
C3 C 0.200 0.000 0.700 1
```

(4)
First-principles (PBE-GGA) data for a relaxed structure of Sc3Co, as listed in Materials Project.

Crystal system: orthorhombic
Volume in Å³/f.u.: 81.3
ρ in g/cm3: 4.0
Formation enthalpy at 0 K in eV/atom: -0.222

CIF file:
```
data_Sc3Co
_chemical_formula_sum 'Sc24 Co8'
_cell_length_a 13.017
_cell_length_b 8.591
_cell_length_c 5.814
_cell_angle_alpha 90.00
_cell_angle_beta 90.00
_cell_angle_gamma 90.00
_symmetry_space_group_name_H-M 'P n m a'
_symmetry_Int_Tables_number 62
_symmetry_space_group_name_Hall '-P 2ac 2n'
loop_
_atom_site_label
_atom_site_type_symbol
_atom_site_fract_x
_atom_site_fract_y
_atom_site_fract_z
_atom_site_occupancy
Sc1 Sc 0.035 0.064 0.245 1
Sc2 Sc 0.109 0.250 0.714 1
Sc3 Sc 0.146 0.750 0.452 1
Sc4 Sc 0.213 0.567 0.908 1
Co1 Co 0.060 0.750 0.054 1
Co2 Co 0.180 0.250 0.127 1
```

(5)
First-principles (PBE-GGA) data for a relaxed structure of Na10Ca3Si6Ge5S6O48, as listed in Materials Project.

Crystal system: triclinic
Volume in Å³/f.u.: 1043.0
ρ in g/cm3: 2.9
Total magnetization in μB/f.u.: 0.000
E (MP2020) in eV per atom: -6.669
Formation enthalpy at 0 K in eV/atom: -2.346

CIF file:
```
data_Na10Ca3Si6Ge5S6O48
_chemical_formula_sum 'Na30 Ca9 Si18 Ge15 S18 O144'
_cell_length_a 9.007
_cell_length_b 15.545
_cell_length_c 22.358
_cell_angle_alpha 88.34
_cell_angle_beta 89.25
_cell_angle_gamma 89.62
_symmetry_space_group_name_H-M 'P 1'
_symmetry_Int_Tables_number 1
_symmetry_space_group_name_Hall 'P 1'
loop_
_atom_site_label
_atom_site_type_symbol
_atom_site_fract_x
_atom_site_fract_y
_atom_site_fract_z
_atom_site_occupancy
Na1 Na 0.000 0.000 0.000 1
Na2 Na 0.002 0.626 0.005 1
Na3 Na 0.054 0.320 0.997 1
Na4 Na 0.163 0.815 0.253 1
Na5 Na 0.173 0.825 0.749 1
Na6 Na 0.185 0.483 0.414 1
Na7 Na 0.186 0.484 0.918 1
Na8 Na 0.187 0.153 0.586 1
Na9 Na 0.196 0.152 0.088 1
Na10 Na 0.316 0.327 0.496 1
Na11 Na 0.329 0.995 0.171 1
Na12 Na 0.331 0.653 0.833 1
Na13 Na 0.360 0.627 0.493 1
Na14 Na 0.375 0.317 0.828 1
Na15 Na 0.384 0.004 0.492 1
Na16 Na 0.512 0.128 0.001 1
Na17 Na 0.538 0.155 0.326 1
Na18 Na 0.659 0.975 0.918 1
Na19 Na 0.674 0.315 0.249 1
Na20 Na 0.678 0.976 0.412 1
Na21 Na 0.683 0.658 0.086 1
Na22 Na 0.683 0.661 0.588 1
Na23 Na 0.686 0.316 0.744 1
Na24 Na 0.803 0.823 0.506 1
Na25 Na 0.825 0.155 0.826 1
Na26 Na 0.828 0.493 0.162 1
Na27 Na 0.856 0.470 0.826 1
Na28 Na 0.862 0.130 0.495 1
Na29 Na 0.884 0.502 0.495 1
Na30 Na 0.995 0.665 0.673 1
Ca1 Ca 0.183 0.481 0.557 1
Ca2 Ca 0.186 0.819 0.895 1
Ca3 Ca 0.192 0.482 0.063 1
Ca4 Ca 0.195 0.157 0.733 1
Ca5 Ca 0.198 0.155 0.239 1
Ca6 Ca 0.679 0.982 0.563 1
Ca7 Ca 0.684 0.647 0.731 1
Ca8 Ca 0.688 0.986 0.063 1
Ca9 Ca 0.701 0.658 0.238 1
Si1 Si 0.036 0.679 0.494 1
Si2 Si 0.037 0.293 0.834 1
Si3 Si 0.049 0.636 0.160 1
Si4 Si 0.327 0.966 0.997 1
Si5 Si 0.327 0.999 0.333 1
Si6 Si 0.349 0.312 0.330 1
Si7 Si 0.456 0.814 0.496 1
Si8 Si 0.489 0.147 0.834 1
Si9 Si 0.536 0.178 0.493 1
Si10 Si 0.538 0.495 0.833 1
Si11 Si 0.548 0.138 0.162 1
Si12 Si 0.558 0.466 0.493 1
Si13 Si 0.816 0.456 0.996 1
Si14 Si 0.842 0.805 0.333 1
Si15 Si 0.846 0.174 0.992 1
Si16 Si 0.846 0.839 0.660 1
Si17 Si 0.968 0.308 0.490 1
Si18 Si 0.987 0.649 0.827 1
Ge1 Ge 0.167 0.810 0.595 1
Ge2 Ge 0.178 0.822 0.103 1
Ge3 Ge 0.186 0.479 0.778 1
Ge4 Ge 0.186 0.819 0.394 1
Ge5 Ge 0.192 0.144 0.932 1
Ge6 Ge 0.206 0.494 0.266 1
Ge7 Ge 0.210 0.169 0.428 1
Ge8 Ge 0.660 0.980 0.272 1
Ge9 Ge 0.677 0.323 0.398 1
Ge10 Ge 0.679 0.980 0.762 1
Ge11 Ge 0.687 0.313 0.585 1
Ge12 Ge 0.688 0.627 0.928 1
Ge13 Ge 0.688 0.667 0.442 1
Ge14 Ge 0.694 0.314 0.895 1
Ge15 Ge 0.713 0.305 0.098 1
S1 S 0.026 0.005 0.831 1
S2 S 0.028 0.336 0.165 1
S3 S 0.054 0.963 0.497 1
S4 S 0.323 0.633 0.664 1
S5 S 0.354 0.673 0.997 1
S6 S 0.355 0.339 0.664 1
S7 S 0.381 0.650 0.335 1
S8 S 0.386 0.977 0.666 1
S9 S 0.407 0.312 0.997 1
S10 S 0.486 0.478 0.167 1
S11 S 0.525 0.837 0.166 1
S12 S 0.555 0.802 0.833 1
S13 S 0.824 0.139 0.662 1
S14 S 0.844 0.496 0.334 1
S15 S 0.885 0.153 0.336 1
S16 S 0.888 0.473 0.666 1
S17 S 0.891 0.808 0.000 1
S18 S 0.986 0.978 0.164 1
O1 O 0.011 0.488 0.329 1
O2 O 0.017 0.820 0.349 1
O3 O 0.030 0.173 0.985 1
O4 O 0.031 0.234 0.779 1
O5 O 0.039 0.832 0.658 1
O6 O 0.052 0.734 0.557 1
O7 O 0.056 0.058 0.887 1
O8 O 0.064 0.393 0.214 1
O9 O 0.073 0.218 0.484 1
O10 O 0.073 0.585 0.099 1
O11 O 0.076 0.390 0.494 1
O12 O 0.078 0.248 0.173 1
O13 O 0.079 0.909 0.445 1
O14 O 0.083 0.369 0.106 1
O15 O 0.083 0.552 0.827 1
O16 O 0.083 0.917 0.836 1
O17 O 0.085 0.053 0.168 1
O18 O 0.085 0.895 0.165 1
O19 O 0.087 0.047 0.778 1
O20 O 0.104 0.584 0.495 1
O21 O 0.113 0.719 0.833 1
O22 O 0.119 0.921 0.553 1
O23 O 0.120 0.729 0.440 1
O24 O 0.127 0.387 0.825 1
O25 O 0.128 0.047 0.493 1
O26 O 0.130 0.579 0.221 1
O27 O 0.136 0.250 0.891 1
O28 O 0.136 0.733 0.155 1
O29 O 0.234 0.063 0.995 1
O30 O 0.241 0.916 0.060 1
O31 O 0.243 0.719 0.663 1
O32 O 0.259 0.406 0.319 1
O33 O 0.261 0.589 0.721 1
O34 O 0.264 0.271 0.393 1
O35 O 0.266 0.027 0.270 1
O36 O 0.266 0.902 0.346 1
O37 O 0.282 0.727 0.339 1
O38 O 0.284 0.570 0.332 1
O39 O 0.286 0.051 0.672 1
O40 O 0.287 0.916 0.940 1
O41 O 0.288 0.587 0.610 1
O42 O 0.289 0.253 0.666 1
O43 O 0.292 0.708 0.941 1
O44 O 0.293 0.585 0.003 1
O45 O 0.300 0.075 0.390 1
O46 O 0.301 0.384 0.610 1
O47 O 0.303 0.386 0.998 1
O48 O 0.306 0.895 0.667 1
O49 O 0.314 0.726 0.050 1
O50 O 0.315 0.231 0.997 1
O51 O 0.316 0.387 0.721 1
O52 O 0.346 0.245 0.279 1
O53 O 0.348 0.798 0.558 1
O54 O 0.350 0.170 0.490 1
O55 O 0.351 0.827 0.440 1
O56 O 0.353 0.491 0.825 1
O57 O 0.356 0.840 0.163 1
O58 O 0.373 0.148 0.169 1
O59 O 0.379 0.129 0.895 1
O60 O 0.382 0.480 0.498 1
O61 O 0.385 0.467 0.223 1
O62 O 0.394 0.814 0.838 1
O63 O 0.397 0.183 0.778 1
O64 O 0.399 0.487 0.113 1
O65 O 0.466 0.991 0.609 1
O66 O 0.469 0.659 0.281 1
O67 O 0.472 0.636 0.390 1
O68 O 0.483 0.646 0.667 1
O69 O 0.492 0.321 0.940 1
O70 O 0.492 0.970 0.719 1
O71 O 0.499 0.986 0.002 1
O72 O 0.502 0.303 0.051 1
O73 O 0.516 0.998 0.330 1
O74 O 0.522 0.334 0.662 1
O75 O 0.523 0.670 0.994 1
O76 O 0.532 0.320 0.341 1
O77 O 0.549 0.568 0.888 1
O78 O 0.554 0.242 0.552 1
O79 O 0.555 0.893 0.220 1
O80 O 0.559 0.723 0.494 1
O81 O 0.568 0.894 0.496 1
O82 O 0.575 0.749 0.174 1
O83 O 0.576 0.401 0.439 1
O84 O 0.578 0.089 0.102 1
O85 O 0.579 0.752 0.779 1
O86 O 0.580 0.400 0.168 1
O87 O 0.581 0.555 0.173 1
O88 O 0.589 0.875 0.111 1
O89 O 0.592 0.396 0.848 1
O90 O 0.598 0.059 0.819 1
O91 O 0.604 0.229 0.846 1
O92 O 0.608 0.084 0.495 1
O93 O 0.611 0.224 0.435 1
O94 O 0.621 0.080 0.227 1
O95 O 0.621 0.758 0.887 1
O96 O 0.628 0.890 0.827 1
O97 O 0.634 0.525 0.777 1
O98 O 0.638 0.235 0.156 1
O99 O 0.641 0.562 0.485 1
O100 O 0.647 0.421 0.553 1
O101 O 0.740 0.556 0.991 1
O102 O 0.745 0.227 0.660 1
O103 O 0.747 0.758 0.395 1
O104 O 0.748 0.412 0.061 1
O105 O 0.757 0.904 0.323 1
O106 O 0.759 0.223 0.938 1
O107 O 0.762 0.095 0.719 1
O108 O 0.773 0.400 0.939 1
O109 O 0.778 0.407 0.341 1
O110 O 0.780 0.530 0.278 1
O111 O 0.784 0.230 0.340 1
O112 O 0.785 0.078 0.992 1
O113 O 0.787 0.743 0.667 1
O114 O 0.788 0.075 0.337 1
O115 O 0.789 0.093 0.608 1
O116 O 0.792 0.550 0.667 1
O117 O 0.797 0.907 0.719 1
O118 O 0.799 0.885 0.006 1
O119 O 0.800 0.728 0.999 1
O120 O 0.800 0.877 0.597 1
O121 O 0.801 0.392 0.664 1
O122 O 0.811 0.549 0.387 1
O123 O 0.826 0.238 0.051 1
O124 O 0.837 0.751 0.276 1
O125 O 0.851 0.673 0.491 1
O126 O 0.855 0.326 0.436 1
O127 O 0.856 0.339 0.162 1
O128 O 0.859 0.004 0.830 1
O129 O 0.861 0.320 0.845 1
O130 O 0.865 0.284 0.552 1
O131 O 0.869 0.628 0.888 1
O132 O 0.872 0.641 0.169 1
O133 O 0.886 0.967 0.216 1
O134 O 0.892 0.977 0.500 1
O135 O 0.903 0.658 0.766 1
O136 O 0.913 0.983 0.106 1
O137 O 0.971 0.164 0.281 1
O138 O 0.976 0.818 0.945 1
O139 O 0.981 0.484 0.612 1
O140 O 0.982 0.466 0.722 1
O141 O 0.984 0.141 0.390 1
O142 O 0.985 0.149 0.666 1
O143 O 0.993 0.793 0.054 1
O144 O 0.995 0.469 0.994 1
```